GGA-PBE La13Al12Si18N39O15, optimized geometry; total energy after the MP2020 corrections = -8.15 eV/atom; energy above the lowest structure with this stoichiometry = 11.7 meV/atom; energy of formation from the pure elements = -1899 meV per atom; mass density = 4.540 g/cm³; space-group type = R3m
1.0
9.612 5.550 3.910
-9.612 5.550 3.910
0.000 -11.099 3.910
La Al Si N O
13 12 18 39 15
direct
0.000 0.000 0.000
0.000 0.428 0.685
0.000 0.685 0.428
0.267 0.598 0.598
0.332 0.332 0.755
0.332 0.755 0.332
0.428 0.000 0.685
0.428 0.685 0.000
0.598 0.267 0.598
0.598 0.598 0.267
0.685 0.000 0.428
0.685 0.428 0.000
0.755 0.332 0.332
0.008 0.169 0.762
0.008 0.762 0.169
0.169 0.008 0.762
0.169 0.762 0.008
0.253 0.253 0.415
0.253 0.415 0.253
0.415 0.253 0.253
0.598 0.846 0.846
0.762 0.008 0.169
0.762 0.169 0.008
0.846 0.598 0.846
0.846 0.846 0.598
0.007 0.167 0.467
0.007 0.467 0.167
0.007 0.710 0.710
0.009 0.309 0.309
0.167 0.007 0.467
0.167 0.467 0.007
0.309 0.009 0.309
0.309 0.309 0.009
0.310 0.849 0.849
0.467 0.007 0.167
0.467 0.167 0.007
0.548 0.548 0.706
0.548 0.706 0.548
0.706 0.548 0.548
0.710 0.007 0.710
0.710 0.710 0.007
0.849 0.310 0.849
0.849 0.849 0.310
0.008 0.311 0.457
0.008 0.457 0.311
0.008 0.708 0.856
0.008 0.856 0.708
0.009 0.331 0.859
0.009 0.859 0.331
0.150 0.705 0.705
0.157 0.310 0.310
0.158 0.158 0.484
0.158 0.484 0.158
0.164 0.164 0.856
0.164 0.856 0.164
0.310 0.157 0.310
0.310 0.310 0.157
0.311 0.008 0.457
0.311 0.457 0.008
0.331 0.009 0.859
0.331 0.859 0.009
0.429 0.818 0.818
0.457 0.008 0.311
0.457 0.311 0.008
0.484 0.158 0.158
0.535 0.682 0.682
0.560 0.560 0.861
0.560 0.861 0.560
0.682 0.535 0.682
0.682 0.682 0.535
0.705 0.150 0.705
0.705 0.705 0.150
0.708 0.008 0.856
0.708 0.856 0.008
0.818 0.429 0.818
0.818 0.818 0.429
0.856 0.008 0.708
0.856 0.164 0.164
0.856 0.708 0.008
0.859 0.009 0.331
0.859 0.331 0.009
0.861 0.560 0.560
0.006 0.192 0.615
0.006 0.615 0.192
0.192 0.006 0.615
0.192 0.615 0.006
0.257 0.505 0.762
0.257 0.762 0.505
0.398 0.398 0.584
0.398 0.584 0.398
0.505 0.257 0.762
0.505 0.762 0.257
0.584 0.398 0.398
0.615 0.006 0.192
0.615 0.192 0.006
0.762 0.257 0.505
0.762 0.505 0.257

GGA-PBE SiGe3, optimized geometry; energy of formation from the pure elements = 421 meV per atom; mass density = 5.502 g/cm³; space-group type = I4/mmm
1.0
3.977 0.000 0.000
0.000 3.977 0.000
0.000 0.000 9.387
Si Ge
2 6
direct
0.000 0.000 0.000
0.500 0.500 0.500
0.000 0.000 0.500
0.000 0.500 0.250
0.000 0.500 0.750
0.500 0.000 0.250
0.500 0.000 0.750
0.500 0.500 0.000

GGA-PBE KTaF6, optimized geometry; total energy after the MP2020 corrections = -6.66 eV/atom; energy of formation from the pure elements = -3599 meV per atom; mass density = 3.887 g/cm³; space-group type = P4_2/mcm
1.0
5.341 0.000 0.000
0.000 5.341 0.000
0.000 0.000 10.003
K Ta F
2 2 12
direct
0.000 0.000 0.250
0.000 0.000 0.750
0.500 0.500 0.000
0.500 0.500 0.500
0.244 0.244 0.000
0.244 0.756 0.500
0.319 0.319 0.365
0.319 0.319 0.635
0.319 0.681 0.135
0.319 0.681 0.865
0.681 0.319 0.135
0.681 0.319 0.865
0.681 0.681 0.365
0.681 0.681 0.635
0.756 0.244 0.500
0.756 0.756 0.000

GGA-PBE Pr4Ir, optimized geometry; energy of formation from the pure elements = 129 meV per atom; mass density = 6.872 g/cm³; space-group type = Fd-3m
1.0
0.000 5.674 5.674
5.674 0.000 5.674
5.674 5.674 0.000
Pr Ir
8 2
direct
0.212 0.763 0.763
0.237 0.237 0.237
0.237 0.237 0.788
0.237 0.788 0.237
0.763 0.212 0.763
0.763 0.763 0.212
0.763 0.763 0.763
0.788 0.237 0.237
0.375 0.375 0.375
0.625 0.625 0.625

GGA-PBE SmPS, optimized geometry; total energy after the MP2020 corrections = -6.49 eV/atom; energy of formation from the pure elements = -1731 meV per atom; mass density = 5.556 g/cm³; space-group type = Pnma
1.0
5.502 0.000 0.000
0.000 5.433 0.000
0.000 0.000 17.070
Sm P S
8 8 8
direct
0.016 0.250 0.138
0.016 0.750 0.353
0.484 0.250 0.853
0.484 0.750 0.638
0.516 0.250 0.362
0.516 0.750 0.147
0.984 0.250 0.647
0.984 0.750 0.862
0.200 0.040 0.503
0.200 0.460 0.503
0.300 0.540 0.003
0.300 0.960 0.003
0.700 0.040 0.997
0.700 0.460 0.997
0.800 0.540 0.497
0.800 0.960 0.497
0.012 0.750 0.183
0.015 0.250 0.311
0.485 0.750 0.811
0.488 0.250 0.683
0.512 0.750 0.317
0.515 0.250 0.189
0.985 0.750 0.689
0.988 0.250 0.817

GGA-PBE TiSiIr, optimized geometry; energy of formation from the pure elements = -1003 meV per atom; mass density = 10.092 g/cm³; space-group type = Pnma
1.0
6.276 0.000 0.000
0.000 3.882 0.000
0.000 0.000 7.244
Ti Si Ir
4 4 4
direct
0.023 0.250 0.181
0.477 0.750 0.681
0.523 0.250 0.319
0.977 0.750 0.819
0.229 0.750 0.377
0.271 0.250 0.877
0.729 0.750 0.123
0.771 0.250 0.623
0.157 0.250 0.562
0.343 0.750 0.062
0.657 0.250 0.938
0.843 0.750 0.438

GGA-PBE RbNb6Se8, optimized geometry; total energy after the MP2020 corrections = -7.12 eV/atom; energy of formation from the pure elements = -1148 meV per atom; mass density = 6.604 g/cm³; space-group type = P-3
1.0
10.249 0.000 0.000
-5.125 8.876 0.000
0.000 0.000 3.523
Rb Nb Se
1 6 8
direct
0.000 0.000 0.000
0.106 0.618 0.750
0.382 0.488 0.750
0.488 0.106 0.250
0.512 0.894 0.750
0.618 0.512 0.250
0.894 0.382 0.250
0.060 0.344 0.748
0.284 0.940 0.748
0.333 0.667 0.250
0.344 0.284 0.252
0.656 0.716 0.748
0.667 0.333 0.750
0.716 0.060 0.252
0.940 0.656 0.252

GGA-PBE Nb3CrS6, optimized geometry; total energy after the MP2020 corrections = -7.86 eV/atom; energy of formation from the pure elements = -1383 meV per atom; mass density = 4.881 g/cm³; space-group type = P6_322
1.0
5.805 0.000 0.000
-2.902 5.027 0.000
0.000 0.000 12.196
Nb Cr S
6 2 12
direct
0.000 0.000 0.000
0.000 0.000 0.500
0.333 0.667 0.003
0.333 0.667 0.497
0.667 0.333 0.503
0.667 0.333 0.997
0.333 0.667 0.750
0.667 0.333 0.250
0.003 0.335 0.630
0.003 0.668 0.870
0.332 0.335 0.870
0.332 0.997 0.630
0.335 0.003 0.370
0.335 0.332 0.130
0.665 0.668 0.630
0.665 0.997 0.870
0.668 0.003 0.130
0.668 0.665 0.370
0.997 0.332 0.370
0.997 0.665 0.130

GGA-PBE LiZr3H18N4F19, optimized geometry; total energy after the MP2020 corrections = -5.72 eV/atom; energy of formation from the pure elements = -2203 meV per atom; mass density = 2.565 g/cm³; space-group type = P2_1/c
1.0
11.569 0.000 0.000
0.000 13.340 0.000
-7.063 0.000 12.010
Li Zr H N F
4 12 72 16 76
direct
0.004 0.123 0.253
0.004 0.377 0.753
0.996 0.623 0.247
0.996 0.877 0.747
0.148 0.627 0.735
0.148 0.873 0.235
0.156 0.126 0.739
0.156 0.374 0.239
0.477 0.126 0.749
0.477 0.374 0.249
0.523 0.626 0.751
0.523 0.874 0.251
0.844 0.626 0.761
0.844 0.874 0.261
0.852 0.127 0.765
0.852 0.373 0.265
0.112 0.624 0.478
0.112 0.876 0.978
0.120 0.121 0.486
0.120 0.379 0.986
0.169 0.630 0.988
0.169 0.870 0.488
0.171 0.119 0.993
0.171 0.381 0.493
0.175 0.093 0.114
0.175 0.407 0.614
0.176 0.651 0.112
0.176 0.849 0.612
0.277 0.565 0.104
0.277 0.935 0.604
0.283 0.177 0.112
0.283 0.323 0.612
0.288 0.617 0.357
0.288 0.883 0.857
0.302 0.124 0.387
0.302 0.376 0.887
0.303 0.055 0.095
0.303 0.445 0.595
0.304 0.688 0.093
0.304 0.812 0.593
0.411 0.620 0.490
0.411 0.880 0.990
0.427 0.688 0.396
0.427 0.812 0.896
0.429 0.189 0.391
0.429 0.311 0.891
0.438 0.563 0.396
0.438 0.937 0.896
0.439 0.064 0.398
0.439 0.436 0.898
0.451 0.131 0.505
0.451 0.369 0.005
0.549 0.631 0.995
0.549 0.869 0.495
0.561 0.564 0.102
0.561 0.936 0.602
0.562 0.063 0.104
0.562 0.437 0.604
0.571 0.689 0.109
0.571 0.811 0.609
0.573 0.188 0.104
0.573 0.312 0.604
0.589 0.120 0.010
0.589 0.380 0.510
0.696 0.188 0.407
0.696 0.312 0.907
0.697 0.555 0.405
0.697 0.945 0.905
0.698 0.624 0.113
0.698 0.876 0.613
0.712 0.117 0.143
0.712 0.383 0.643
0.717 0.677 0.388
0.717 0.823 0.888
0.723 0.065 0.396
0.723 0.435 0.896
0.824 0.151 0.388
0.824 0.349 0.888
0.825 0.593 0.386
0.825 0.907 0.886
0.829 0.619 0.507
0.829 0.881 0.007
0.831 0.130 0.512
0.831 0.370 0.012
0.880 0.621 0.014
0.880 0.879 0.514
0.888 0.124 0.022
0.888 0.376 0.522
0.231 0.634 0.074
0.231 0.866 0.574
0.233 0.111 0.079
0.233 0.389 0.579
0.391 0.622 0.410
0.391 0.878 0.910
0.404 0.127 0.420
0.404 0.373 0.920
0.596 0.627 0.080
0.596 0.873 0.580
0.609 0.122 0.090
0.609 0.378 0.590
0.767 0.611 0.421
0.767 0.889 0.921
0.769 0.134 0.426
0.769 0.366 0.926
0.069 0.628 0.846
0.069 0.872 0.346
0.072 0.124 0.852
0.072 0.376 0.352
0.075 0.620 0.561
0.075 0.880 0.061
0.082 0.132 0.567
0.082 0.368 0.067
0.110 0.521 0.239
0.110 0.979 0.739
0.116 0.227 0.249
0.116 0.273 0.749
0.136 0.721 0.223
0.136 0.779 0.723
0.137 0.630 0.420
0.137 0.870 0.920
0.144 0.026 0.234
0.144 0.474 0.734
0.152 0.111 0.432
0.152 0.389 0.932
0.309 0.036 0.717
0.309 0.464 0.217
0.309 0.633 0.890
0.309 0.867 0.390
0.313 0.218 0.724
0.313 0.282 0.224
0.318 0.626 0.712
0.318 0.874 0.212
0.320 0.121 0.893
0.320 0.379 0.393
0.435 0.728 0.621
0.435 0.772 0.121
0.438 0.521 0.622
0.438 0.979 0.122
0.463 0.229 0.635
0.463 0.271 0.135
0.468 0.021 0.637
0.468 0.479 0.137
0.532 0.521 0.863
0.532 0.979 0.363
0.537 0.729 0.865
0.537 0.771 0.365
0.562 0.021 0.878
0.562 0.479 0.378
0.565 0.228 0.879
0.565 0.272 0.379
0.680 0.621 0.607
0.680 0.879 0.107
0.682 0.126 0.788
0.682 0.374 0.288
0.687 0.718 0.776
0.687 0.782 0.276
0.691 0.133 0.610
0.691 0.367 0.110
0.691 0.536 0.783
0.691 0.964 0.283
0.848 0.611 0.068
0.848 0.889 0.568
0.856 0.526 0.266
0.856 0.974 0.766
0.863 0.130 0.080
0.863 0.370 0.580
0.864 0.221 0.277
0.864 0.279 0.777
0.884 0.727 0.251
0.884 0.773 0.751
0.890 0.021 0.261
0.890 0.479 0.761
0.918 0.632 0.933
0.918 0.868 0.433
0.925 0.120 0.939
0.925 0.380 0.439
0.928 0.624 0.648
0.928 0.876 0.148
0.931 0.128 0.654
0.931 0.372 0.154

Copy entry 1 word for word.
GGA-PBE La13Al12Si18N39O15, optimized geometry; total energy after the MP2020 corrections = -8.15 eV/atom; energy above the lowest structure with this stoichiometry = 11.7 meV/atom; energy of formation from the pure elements = -1899 meV per atom; mass density = 4.540 g/cm³; space-group type = R3m
1.0
9.612 5.550 3.910
-9.612 5.550 3.910
0.000 -11.099 3.910
La Al Si N O
13 12 18 39 15
direct
0.000 0.000 0.000
0.000 0.428 0.685
0.000 0.685 0.428
0.267 0.598 0.598
0.332 0.332 0.755
0.332 0.755 0.332
0.428 0.000 0.685
0.428 0.685 0.000
0.598 0.267 0.598
0.598 0.598 0.267
0.685 0.000 0.428
0.685 0.428 0.000
0.755 0.332 0.332
0.008 0.169 0.762
0.008 0.762 0.169
0.169 0.008 0.762
0.169 0.762 0.008
0.253 0.253 0.415
0.253 0.415 0.253
0.415 0.253 0.253
0.598 0.846 0.846
0.762 0.008 0.169
0.762 0.169 0.008
0.846 0.598 0.846
0.846 0.846 0.598
0.007 0.167 0.467
0.007 0.467 0.167
0.007 0.710 0.710
0.009 0.309 0.309
0.167 0.007 0.467
0.167 0.467 0.007
0.309 0.009 0.309
0.309 0.309 0.009
0.310 0.849 0.849
0.467 0.007 0.167
0.467 0.167 0.007
0.548 0.548 0.706
0.548 0.706 0.548
0.706 0.548 0.548
0.710 0.007 0.710
0.710 0.710 0.007
0.849 0.310 0.849
0.849 0.849 0.310
0.008 0.311 0.457
0.008 0.457 0.311
0.008 0.708 0.856
0.008 0.856 0.708
0.009 0.331 0.859
0.009 0.859 0.331
0.150 0.705 0.705
0.157 0.310 0.310
0.158 0.158 0.484
0.158 0.484 0.158
0.164 0.164 0.856
0.164 0.856 0.164
0.310 0.157 0.310
0.310 0.310 0.157
0.311 0.008 0.457
0.311 0.457 0.008
0.331 0.009 0.859
0.331 0.859 0.009
0.429 0.818 0.818
0.457 0.008 0.311
0.457 0.311 0.008
0.484 0.158 0.158
0.535 0.682 0.682
0.560 0.560 0.861
0.560 0.861 0.560
0.682 0.535 0.682
0.682 0.682 0.535
0.705 0.150 0.705
0.705 0.705 0.150
0.708 0.008 0.856
0.708 0.856 0.008
0.818 0.429 0.818
0.818 0.818 0.429
0.856 0.008 0.708
0.856 0.164 0.164
0.856 0.708 0.008
0.859 0.009 0.331
0.859 0.331 0.009
0.861 0.560 0.560
0.006 0.192 0.615
0.006 0.615 0.192
0.192 0.006 0.615
0.192 0.615 0.006
0.257 0.505 0.762
0.257 0.762 0.505
0.398 0.398 0.584
0.398 0.584 0.398
0.505 0.257 0.762
0.505 0.762 0.257
0.584 0.398 0.398
0.615 0.006 0.192
0.615 0.192 0.006
0.762 0.257 0.505
0.762 0.505 0.257

> Look up the energy of formation from the pure elements of the ninth one.

-2203 meV per atom

> Which of these has the lowest energy of formation from the pure elements?

KTaF6